1.
# OsS2 | the Materials Project | PBE | relaxed
# Total energy after the MP2020 corrections = -7.192 eV/atom
# ΔH_f (0 K) = -692 meV per atom
data_OsS2
_chemical_formula_sum 'Os4 S8'
_cell_length_a 5.664
_cell_length_b 5.664
_cell_length_c 5.664
_cell_angle_alpha 90.00
_cell_angle_beta 90.00
_cell_angle_gamma 90.00
_space_group_name_H-M_alt 'P a -3'
_space_group_IT_number 205
_space_group_name_Hall '-P 2ac 2ab 3'
loop_
_atom_site_label
_atom_site_type_symbol
_atom_site_fract_x
_atom_site_fract_y
_atom_site_fract_z
_atom_site_occupancy
Os1 Os 0.000 0.000 0.000 1
S1 S 0.116 0.616 0.884 1


2.
# K2PaF7 | the Materials Project | PBE | relaxed
# Total energy after the MP2020 corrections = -6.313 eV/atom
# ΔH_f (0 K) = -3800 meV per atom
data_K2PaF7
_chemical_formula_sum 'K8 Pa4 F28'
_cell_length_a 13.990
_cell_length_b 6.827
_cell_length_c 8.257
_cell_angle_alpha 90.00
_cell_angle_beta 125.56
_cell_angle_gamma 90.00
_space_group_name_H-M_alt 'C 1 2/c 1'
_space_group_IT_number 15
loop_
_space_group_symop_operation_xyz
'x,y,z'
'-x,-y,-z'
'-x,y,-z+1/2'
'x,-y,z+1/2'
'x+1/2,y+1/2,z'
'-x+1/2,-y+1/2,-z'
'-x+1/2,y+1/2,-z+1/2'
'x+1/2,-y+1/2,z+1/2'
loop_
_atom_site_label
_atom_site_type_symbol
_atom_site_fract_x
_atom_site_fract_y
_atom_site_fract_z
_atom_site_occupancy
K1 K 0.175 0.007 0.244 1
Pa1 Pa 0.000 0.476 0.750 1
F1 F 0.000 0.151 0.750 1
F2 F 0.075 0.366 0.065 1
F3 F 0.112 0.278 0.431 1
F4 F 0.176 0.386 0.854 1


ΔH_f (0 K) of number 1 (OsS2)?
-692 meV per atom